1.
Computed, not measured: crystalline Nd3InN at its relaxed geometry at the PBE level of DFT.

```
5
Lattice="5.0406 0.0000 0.0000 0.0000 5.0406 0.0000 0.0000 0.0000 5.0406" Properties=species:S:1:pos:R:3 pbc="T T T"
Nd 0.0000 0.0000 2.5203
Nd 0.0000 2.5203 0.0000
Nd 2.5203 0.0000 0.0000
In 2.5203 2.5203 2.5203
N 0.0000 0.0000 0.0000
```

## Properties
E_form in eV per atom: -0.933


2.
Computed, not measured: crystalline InS3N3O12 at its relaxed geometry at the PBE level of DFT.

```
38
Lattice="7.9954 4.6161 3.1560 -7.9954 4.6161 3.1560 0.0000 -9.2323 3.1560" Properties=species:S:1:pos:R:3 pbc="T T T"
In 0.0000 0.0000 0.0000
In 0.0000 0.0000 4.7341
S -0.9620 -2.3502 2.2987
S -1.5543 2.0082 2.2987
S 2.5163 0.3420 2.2987
S -2.5163 0.3419 7.0328
S 0.9620 -2.3502 7.0328
S 1.5543 2.0082 7.0328
N -4.8967 1.4884 4.1558
N -3.0987 -3.1278 5.7338
N 1.1594 -4.9848 4.1558
N -1.1594 4.2474 5.7339
N 3.7373 3.4965 4.1558
N 4.2581 -1.1197 5.7339
O -6.8372 -3.1926 5.1906
O -2.1590 -3.1980 2.4255
O -1.1943 -1.2833 1.2791
O -2.9069 1.5450 1.9027
O 0.1154 -3.2900 1.9027
O -0.5142 1.6759 1.2791
O 1.7085 -0.3926 1.2791
O -1.6901 3.4688 2.4255
O -0.6537 -1.7148 3.6125
O -1.1582 1.4235 3.6125
O 2.7915 1.7449 1.9027
O 3.8491 -0.2707 2.4255
O 1.8119 0.2913 3.6125
O -3.8491 -0.2707 7.1596
O -1.7085 -0.3926 6.0131
O -0.1154 -3.2900 6.6368
O -2.7915 1.7449 6.6368
O 1.1942 -1.2833 6.0131
O 0.5142 1.6759 6.0131
O 2.1590 -3.1980 7.1596
O 6.1834 -4.3248 5.1906
O 0.6537 7.5175 5.1906
O 2.9069 1.5450 6.6368
O 1.6901 3.4688 7.1596
```

## Properties
E_form in eV per atom: -0.475


3.
Computed, not measured: crystalline InS2NO8 at its relaxed geometry at the PBE level of DFT.

```
12
Lattice="2.4808 1.4323 8.4528 -2.4808 1.4323 8.4528 0.0000 -2.8645 8.4528" Properties=species:S:1:pos:R:3 pbc="T T T"
In 0.0000 0.0000 0.0000
S 0.0000 0.0000 6.5888
S 0.0000 0.0000 18.7696
N 0.0000 0.0000 12.6792
O -0.6215 -1.2620 7.1098
O 0.0000 0.0000 5.1278
O -0.7822 1.1692 7.1098
O -0.7822 -1.1692 18.2486
O 1.4037 0.0928 7.1098
O -0.6215 1.2620 18.2486
O 0.0000 0.0000 20.2306
O 1.4037 -0.0928 18.2486
```

## Properties
E_form in eV per atom: -1.131


4.
Computed, not measured: crystalline In8PbN6 at its relaxed geometry at the PBE level of DFT.

```
45
Lattice="8.8025 -10.5016 0.0000 8.8025 10.5016 0.0000 -0.5977 0.0000 5.5870" Properties=species:S:1:pos:R:3 pbc="T T T"
In 0.0000 0.0000 0.0000
In 3.4478 3.2710 2.8597
In 5.8436 5.6169 3.6967
In 2.4848 0.0000 1.8124
In 6.7415 4.7812 0.7451
In 3.4491 0.0000 4.8406
In 6.6799 1.5333 0.4025
In 9.0107 3.9153 2.7691
In 3.4478 -3.2710 2.8597
In 9.0854 2.0604 5.3242
In 6.6799 -1.5333 0.4025
In 12.2417 4.5275 1.4068
In 11.5346 3.9176 4.3371
In 6.7415 -4.7812 0.7451
In 5.8436 -5.6169 3.6967
In 9.0854 -2.0604 5.3242
In 13.1182 1.5956 1.5291
In 9.0107 -3.9153 2.7691
In 14.1819 1.6820 4.6217
In 13.1182 -1.5956 1.5291
In 11.5346 -3.9176 4.3371
In 14.1819 -1.6820 4.6217
In 12.2417 -4.5275 1.4068
In 16.1063 0.0000 2.5903
Pb 8.8627 7.5651 2.6799
Pb 9.8221 0.0000 2.2982
Pb 8.8627 -7.5651 2.6799
N 7.5800 8.9166 4.1669
N 4.9360 4.4477 2.0128
N 2.6589 1.4656 3.3939
N 7.6554 5.6531 2.5706
N 2.6589 -1.4656 3.3939
N 8.1120 3.0892 0.9439
N 10.8373 5.3948 2.8245
N 8.4792 0.0000 0.2016
N 4.9360 -4.4477 2.0128
N 10.9999 1.7866 1.4166
N 8.1120 -3.0892 0.9439
N 13.2763 3.1735 3.2095
N 10.9999 -1.7866 1.4166
N 7.6554 -5.6531 2.5706
N 13.9179 0.0000 2.8952
N 7.5800 -8.9166 4.1669
N 10.8373 -5.3948 2.8245
N 13.2763 -3.1735 3.2095
```

## Properties
E_form in eV per atom: 0.329